(1)
BaAs2O9 | GGA-PBE | optimized geometry

Cell and atoms, written as extended XYZ:
```
48
Lattice="7.858 -0.183 3.423 3.298 8.701 2.732 0.538 -0.244 12.207" Properties=species:S:1:pos:R:3 pbc="T T T"
O 8.756 6.909 14.898
O 8.962 5.639 13.105
O 7.677 3.256 15.656
O 3.749 3.736 11.423
O 6.119 6.617 4.607
O 8.352 8.412 6.183
O 7.505 7.669 8.846
O 7.563 0.961 12.430
O 7.926 1.880 8.603
O 2.573 5.207 7.399
O 4.189 0.605 9.517
O 6.203 5.990 14.002
O 1.651 0.593 7.083
O 5.491 2.283 4.360
O 4.017 5.017 2.706
O 3.511 3.572 10.219
O 5.406 5.789 8.184
O 0.548 1.265 0.933
O 4.131 7.313 5.932
O 11.146 7.009 17.429
O 3.342 -0.138 12.179
O 7.945 4.538 6.939
O 9.075 5.024 5.793
O 5.230 2.345 7.479
O 10.377 6.310 7.969
O 3.768 6.393 9.759
O 5.575 1.657 13.755
O 2.938 1.364 3.464
O 6.464 5.929 10.883
O 9.121 3.067 10.963
O 2.733 2.634 5.257
O 6.289 2.484 10.178
O 8.183 4.702 8.143
O 10.044 7.680 11.280
O 1.317 1.964 10.393
O 2.619 3.249 12.569
As 2.683 6.140 2.875
As 5.182 1.846 9.072
As 1.442 2.071 6.273
As 6.512 6.428 9.290
As 7.030 6.905 15.258
As 10.252 6.203 12.089
As 9.011 2.133 15.487
As 4.664 1.369 3.105
Ba 4.672 4.605 5.663
Ba 6.615 0.191 6.081
Ba 7.022 3.669 12.699
Ba 5.079 8.082 12.281
```

Magnetization in μB/f.u.: 4.00
Calculated volume in Å³ per cell: 828
Formation energy in meV per atom: -908
Final energy in eV per cell: -260.9
SG: No. 2

=====

(2)
BaAs2O6 | GGA-PBE | optimized geometry

Cell and atoms, written as extended XYZ:
```
18
Lattice="-3.161 0.000 3.975 -4.319 0.000 -3.975 3.740 -9.073 0.000" Properties=species:S:1:pos:R:3 pbc="T T T"
O -3.118 -4.215 0.573
O -4.065 -2.096 2.141
O -2.781 -4.215 -2.560
O -0.622 -4.858 -0.573
O -3.156 -0.560 -2.412
O -4.995 -2.096 -0.154
O -0.584 -8.513 2.412
O -2.743 -0.560 0.424
O 1.256 -6.977 0.154
O 0.325 -6.977 -2.141
O -0.996 -8.513 -0.424
O -0.958 -4.858 2.560
Ba -0.790 -2.633 0.994
Ba -2.950 -6.440 -0.994
As -4.530 -3.404 0.994
As 0.790 -8.452 -0.994
As -4.530 -0.621 0.994
As 0.790 -5.669 -0.994
```

Calculated volume in Å³ per cell: 270
Formation energy in meV per atom: -2191
Final energy in eV per cell: -113.1
SG: No. 15

=====

(3)
BaAs4O14 | GGA-PBE | optimized geometry

Cell and atoms, written as extended XYZ:
```
38
Lattice="5.791 0.000 0.000 0.000 8.911 0.000 0.000 0.000 11.585" Properties=species:S:1:pos:R:3 pbc="T T T"
As 2.896 3.050 5.793
As 4.576 0.000 9.406
As 2.896 5.861 5.793
As 4.576 4.455 7.972
As 1.216 4.455 3.613
As 2.896 7.505 0.000
As 1.216 0.000 2.180
As 2.896 1.406 0.000
O 4.390 5.903 7.008
O 0.322 0.000 8.645
O 2.189 4.455 6.803
O 3.777 4.455 9.511
O 2.122 1.667 6.639
O 2.122 7.244 6.639
O 3.602 4.455 4.782
O 2.015 0.000 3.718
O 3.602 0.000 1.010
O 4.390 3.008 7.008
O 3.669 7.244 4.946
O 4.390 1.447 10.370
O 4.390 7.464 10.370
O 3.669 6.122 0.847
O 2.189 0.000 10.575
O 3.669 2.789 0.847
O 2.015 4.455 2.074
O 5.469 4.455 2.852
O 2.122 6.122 10.739
O 1.401 5.903 4.578
O 0.322 4.455 8.733
O 1.401 7.464 1.215
O 3.777 0.000 7.867
O 2.122 2.789 10.739
O 5.469 0.000 2.941
O 1.401 1.447 1.215
O 1.401 3.008 4.578
O 3.669 1.667 4.946
Ba 0.000 0.000 5.793
Ba 0.000 4.455 0.000
```

Magnetization in μB/f.u.: 6.00
Calculated volume in Å³ per cell: 598
Formation energy in meV per atom: -1306
Final energy in eV per cell: -210.1
SG: No. 53

=====

Number 3 is which compound? BaAs4O14

=====

What is the formula in the third record? BaAs4O14

=====

Among the records above, which one has the lowest formation energy? BaAs2O6

=====

What is the final energy in the third record? -210.1 eV per cell